Record 1
Below is crystalline Li2AlFeO4 at its relaxed geometry, with properties calculated at the GGA+U level.

a b c (Å): 5.0340 10.1077 14.2842
angles (deg): 90.00 90.00 90.00
With the nearest neighbours (Å) after each atom.
Sites, in units of the cell vectors:
O 0.3030 0.0660 0.0880  2 Fe 1.89-1.90, 1 Li 1.94
O 0.2880 0.0254 0.3065  1 Al 1.79, 1 Fe 1.91
O 0.7905 0.0929 0.3900  2 Al 1.78
O 0.1815 0.9833 0.6979  1 Al 1.79, 1 Fe 1.90
O 0.3840 0.7878 0.1821  2 Fe 1.91-1.93, 2 Li 1.97-2.11
O 0.2880 0.4746 0.8065  1 Al 1.79, 1 Fe 1.91
O 0.7557 0.6570 0.5047  1 Al 1.80, 1 Fe 1.91
O 0.7120 0.9746 0.8065  1 Al 1.79, 1 Fe 1.91
O 0.2246 0.8402 0.4881  1 Al 1.79, 1 Fe 1.90
O 0.1299 0.3095 0.3318  2 Al 1.78-1.79
O 0.3030 0.4340 0.5880  2 Fe 1.89-1.90, 1 Li 1.94
O 0.7905 0.4071 0.8900  2 Al 1.78
O 0.7120 0.5254 0.3065  1 Al 1.79, 1 Fe 1.91
O 0.6970 0.9340 0.5880  2 Fe 1.89-1.90, 1 Li 1.94
O 0.2095 0.5929 0.3900  2 Al 1.78
O 0.7557 0.8430 0.0047  1 Al 1.80, 1 Fe 1.91
O 0.6160 0.2122 0.6821  2 Fe 1.91-1.93, 2 Li 1.97-2.11
O 0.3840 0.7122 0.6821  2 Fe 1.91-1.93, 2 Li 1.97-2.11
O 0.6970 0.5659 0.0880  2 Fe 1.89-1.90, 1 Li 1.94
O 0.8701 0.6905 0.8318  2 Al 1.78-1.79
O 0.7754 0.1598 0.9881  1 Al 1.79, 1 Fe 1.90
O 0.2095 0.9071 0.8900  2 Al 1.78
O 0.1815 0.5167 0.1979  1 Al 1.79, 1 Fe 1.90
O 0.8185 0.4833 0.6979  1 Al 1.79, 1 Fe 1.90
O 0.2443 0.1570 0.5047  1 Al 1.80, 1 Fe 1.91
O 0.2443 0.3430 0.0047  1 Al 1.80, 1 Fe 1.91
O 0.2246 0.6598 0.9881  1 Al 1.79, 1 Fe 1.90
O 0.8701 0.8095 0.3318  2 Al 1.78-1.79
O 0.1299 0.1905 0.8318  2 Al 1.78-1.79
O 0.6160 0.2878 0.1821  2 Fe 1.91-1.93, 2 Li 1.97-2.11
O 0.7754 0.3402 0.4881  1 Al 1.79, 1 Fe 1.90
O 0.8185 0.0167 0.1979  1 Al 1.79, 1 Fe 1.90
Al 0.0093 0.7256 0.4308  4 O 1.78-1.80
Al 0.0093 0.7744 0.9308  4 O 1.78-1.80
Al 0.9451 0.9790 0.3119  4 O 1.78-1.79
Al 0.9451 0.5210 0.8119  4 O 1.78-1.79
Al 0.9907 0.2744 0.9308  4 O 1.78-1.80
Al 0.0549 0.4790 0.3119  4 O 1.78-1.79
Al 0.0549 0.0210 0.8119  4 O 1.78-1.79
Al 0.9907 0.2256 0.4308  4 O 1.78-1.80
Li 0.0341 0.7919 0.7052  2 O 1.97-2.07
Li 0.4552 0.4886 0.9382  4 O 2.00-2.20
Li 0.9424 0.4903 0.5629  4 O 1.94-2.10
Li 0.4742 0.2063 0.3088  4 O 2.05-2.28
Li 0.9424 0.0097 0.0629  4 O 1.94-2.10
Li 0.9659 0.2919 0.7052  2 O 1.97-2.07
Li 0.5448 0.9886 0.9382  4 O 2.00-2.20
Li 0.0576 0.9903 0.5629  4 O 1.94-2.10
Li 0.5258 0.7937 0.8088  4 O 2.05-2.28
Li 0.9659 0.2081 0.2052  2 O 1.97-2.07
Li 0.4742 0.2937 0.8088  4 O 2.05-2.28
Li 0.5448 0.5114 0.4382  4 O 2.00-2.20
Li 0.0341 0.7081 0.2052  2 O 1.97-2.07
Li 0.4552 0.0114 0.4382  4 O 2.00-2.20
Li 0.0576 0.5097 0.0629  4 O 1.94-2.10
Li 0.5258 0.7063 0.3088  4 O 2.05-2.28
Fe 0.4508 0.5266 0.6917  4 O 1.90-1.91
Fe 0.5097 0.7757 0.5627  4 O 1.89-1.93
Fe 0.4508 0.9734 0.1917  4 O 1.90-1.91
Fe 0.4903 0.2243 0.0627  4 O 1.89-1.93
Fe 0.4903 0.2757 0.5627  4 O 1.89-1.93
Fe 0.5492 0.4734 0.1917  4 O 1.90-1.91
Fe 0.5492 0.0266 0.6917  4 O 1.90-1.91
Fe 0.5097 0.7243 0.0627  4 O 1.89-1.93

Calculated values
energy of formation from the pure elements = -2.432 eV/atom
space-group type = Pca2_1 (29)
final energy = -6.285 eV/atom
offset from the most stable computed form = 0.513 eV per formula unit
magnetization = 0.00 μB per formula unit

---

Record 2
Below is crystalline Li2AlFeO4 at its relaxed geometry, with properties calculated at the GGA+U level.

a b c (Å): 5.4203 6.2963 10.9161
angles (deg): 88.71 90.00 90.00
With the nearest neighbours (Å) after each atom.
Sites, in units of the cell vectors:
Fe 0.6758 0.2351 0.4204  3 O 1.79-1.94
Fe 0.3242 0.7649 0.5796  3 O 1.79-1.94
Fe 0.1758 0.7649 0.0796  3 O 1.79-1.94
Fe 0.8242 0.2351 0.9204  3 O 1.79-1.94
Al 0.3158 0.5031 0.3324  4 O 1.75-1.85
Al 0.1842 0.5031 0.8324  4 O 1.75-1.85
Al 0.6842 0.4969 0.6676  4 O 1.75-1.85
Al 0.8158 0.4969 0.1676  4 O 1.75-1.85
O 0.6856 0.0258 0.8354  1 Fe 1.79, 3 Li 1.92-1.95
O 0.6808 0.7435 0.5837  1 Al 1.78, 1 Fe 1.94, 1 Li 1.96
O 0.1856 0.9742 0.6646  1 Fe 1.79, 3 Li 1.92-1.95
O 0.8144 0.0258 0.3354  1 Fe 1.79, 3 Li 1.92-1.95
O 0.8466 0.5124 0.8105  2 Al 1.80-1.85
O 0.6984 0.2896 0.0800  1 Al 1.75, 1 Fe 1.91
O 0.8192 0.7435 0.0837  1 Al 1.78, 1 Fe 1.94, 1 Li 1.96
O 0.3466 0.4876 0.6895  2 Al 1.80-1.85
O 0.3016 0.7104 0.9200  1 Al 1.75, 1 Fe 1.91
O 0.1808 0.2565 0.9163  1 Al 1.78, 1 Fe 1.94, 1 Li 1.96
O 0.3144 0.9742 0.1646  1 Fe 1.79, 3 Li 1.92-1.95
O 0.3192 0.2565 0.4163  1 Al 1.78, 1 Fe 1.94, 1 Li 1.96
O 0.6534 0.5124 0.3105  2 Al 1.80-1.85
O 0.1984 0.7104 0.4200  1 Al 1.75, 1 Fe 1.91
O 0.1534 0.4876 0.1895  2 Al 1.80-1.85
O 0.8016 0.2896 0.5800  1 Al 1.75, 1 Fe 1.91
Li 0.1703 0.2455 0.5802  3 O 1.92-2.02
Li 0.3271 0.0111 0.8258  4 O 1.94-2.14
Li 0.6729 0.9889 0.1742  4 O 1.94-2.14
Li 0.3297 0.2455 0.0802  3 O 1.92-2.02
Li 0.8271 0.9889 0.6742  4 O 1.94-2.14
Li 0.8297 0.7545 0.4198  3 O 1.92-2.02
Li 0.1729 0.0111 0.3258  4 O 1.94-2.14
Li 0.6703 0.7545 0.9198  3 O 1.92-2.02

Calculated values
energy of formation from the pure elements = -2.410 eV/atom
space-group type = P2_1/c (14)
final energy = -6.262 eV/atom
offset from the most stable computed form = 0.692 eV per formula unit
magnetization = 5.00 μB per formula unit

---

Record 3
Below is crystalline Li2AlFeO4 at its relaxed geometry, with properties calculated at the GGA+U level.

a b c (Å): 5.0322 5.5506 6.2755
angles (deg): 90.00 90.00 90.00
With the nearest neighbours (Å) after each atom.
Sites, in units of the cell vectors:
Fe 0.4962 0.1653 0.5000  4 O 1.91-1.92
Fe 0.9962 0.8347 0.0000  4 O 1.91-1.92
O 0.3544 0.8466 0.5000  1 Al 1.79, 1 Fe 1.91, 2 Li 1.99
O 0.8946 0.6818 0.7380  1 Al 1.79, 1 Fe 1.92, 1 Li 1.99
O 0.8946 0.6818 0.2620  1 Al 1.79, 1 Fe 1.92, 1 Li 1.99
O 0.3946 0.3182 0.7620  1 Al 1.79, 1 Fe 1.92, 1 Li 1.99
O 0.3946 0.3182 0.2380  1 Al 1.79, 1 Fe 1.92, 1 Li 1.99
O 0.8544 0.1534 0.0000  1 Al 1.79, 1 Fe 1.91, 2 Li 1.99
O 0.3753 0.8642 0.0000  1 Al 1.79, 1 Fe 1.91, 2 Li 2.00
O 0.8753 0.1358 0.5000  1 Al 1.79, 1 Fe 1.91, 2 Li 2.00
Al 0.4990 0.1672 0.0000  4 O 1.79
Al 0.9990 0.8328 0.5000  4 O 1.79
Li 0.4930 0.6662 0.7502  4 O 1.99-2.02
Li 0.4930 0.6662 0.2498  4 O 1.99-2.02
Li 0.9930 0.3338 0.7498  4 O 1.99-2.02
Li 0.9930 0.3338 0.2502  4 O 1.99-2.02

Calculated values
energy of formation from the pure elements = -2.487 eV/atom
space-group type = Pmn2_1 (31)
final energy = -6.340 eV/atom
offset from the most stable computed form = 0.072 eV per formula unit
magnetization = 5.00 μB per formula unit

---

Record 4
Below is crystalline Li6AlFeO6 at its relaxed geometry, with properties calculated at the GGA+U level.

a b c (Å): 5.4079 9.3626 9.7845
angles (deg): 90.00 89.97 90.01
With the nearest neighbours (Å) after each atom.
Sites, in units of the cell vectors:
O 0.7067 0.3522 0.8677  4 Li 1.91-2.05, 1 Al 1.98, 1 Fe 2.10
O 0.8847 0.8250 0.1347  4 Li 1.91-2.05, 1 Al 1.98, 1 Fe 2.09
O 0.1822 0.4720 0.8677  4 Li 1.91-2.05, 1 Al 1.98, 1 Fe 2.10
O 0.3276 0.9717 0.6346  4 Li 1.91-2.05, 1 Al 1.98, 1 Fe 2.10
O 0.8017 0.1470 0.1349  4 Li 1.90-2.06, 1 Al 1.98, 1 Fe 2.10
O 0.6822 0.9720 0.8677  4 Li 1.91-2.05, 1 Al 1.98, 1 Fe 2.10
O 0.6240 0.6746 0.8681  4 Li 1.90-2.07, 1 Al 1.98, 1 Fe 2.10
O 0.8266 0.5273 0.1346  4 Li 1.90-2.06, 1 Al 1.98, 1 Fe 2.10
O 0.8276 0.4717 0.6346  4 Li 1.91-2.05, 1 Al 1.98, 1 Fe 2.10
O 0.7076 0.6473 0.3677  4 Li 1.90-2.06, 1 Al 1.97, 1 Fe 2.11
O 0.1240 0.1746 0.8681  4 Li 1.90-2.07, 1 Al 1.98, 1 Fe 2.10
O 0.1827 0.5274 0.3683  4 Li 1.91-2.05, 1 Al 1.98, 1 Fe 2.10
O 0.8031 0.8520 0.6347  4 Li 1.91-2.05, 1 Al 1.98, 1 Fe 2.09
O 0.1243 0.8250 0.3680  4 Li 1.91-2.06, 1 Al 1.98, 1 Fe 2.09
O 0.3017 0.6470 0.1349  4 Li 1.90-2.06, 1 Al 1.98, 1 Fe 2.10
O 0.3863 0.6742 0.6345  4 Li 1.90-2.07, 1 Al 1.98, 1 Fe 2.10
O 0.3266 0.0273 0.1346  4 Li 1.90-2.06, 1 Al 1.98, 1 Fe 2.10
O 0.2067 0.8522 0.8677  4 Li 1.91-2.05, 1 Al 1.98, 1 Fe 2.10
O 0.2076 0.1473 0.3677  4 Li 1.90-2.06, 1 Al 1.97, 1 Fe 2.11
O 0.6243 0.3250 0.3680  4 Li 1.91-2.06, 1 Al 1.98, 1 Fe 2.09
O 0.3847 0.3250 0.1347  4 Li 1.91-2.05, 1 Al 1.98, 1 Fe 2.09
O 0.3031 0.3520 0.6347  4 Li 1.91-2.05, 1 Al 1.98, 1 Fe 2.09
O 0.6827 0.0274 0.3683  4 Li 1.91-2.05, 1 Al 1.98, 1 Fe 2.10
O 0.8863 0.1742 0.6345  4 Li 1.90-2.07, 1 Al 1.98, 1 Fe 2.10
Li 0.2253 0.1573 0.5778  4 O 1.91-2.06
Li 0.3508 0.9689 0.4254  4 O 1.91-2.05
Li 0.7848 0.1576 0.9248  4 O 1.91-2.06
Li 0.8790 0.1895 0.4235  4 O 1.90-2.07
Li 0.1575 0.4689 0.0771  4 O 1.91-2.05
Li 0.2848 0.6576 0.9248  4 O 1.91-2.06
Li 0.6310 0.6890 0.0790  4 O 1.90-2.07
Li 0.8508 0.4689 0.4254  4 O 1.91-2.05
Li 0.8775 0.8107 0.9254  4 O 1.91-2.05
Li 0.1591 0.5307 0.5772  4 O 1.90-2.05
Li 0.7855 0.8420 0.4258  4 O 1.91-2.05
Li 0.2855 0.3420 0.4258  4 O 1.91-2.05
Li 0.6325 0.3097 0.5781  4 O 1.91-2.06
Li 0.6575 0.9689 0.0771  4 O 1.91-2.05
Li 0.1310 0.1890 0.0790  4 O 1.90-2.07
Li 0.6591 0.0307 0.5773  4 O 1.90-2.05
Li 0.1325 0.8098 0.5781  4 O 1.91-2.06
Li 0.7248 0.3420 0.0773  4 O 1.90-2.05
Li 0.8510 0.5314 0.9241  4 O 1.90-2.06
Li 0.3775 0.3107 0.9254  4 O 1.91-2.05
Li 0.3790 0.6895 0.4235  4 O 1.90-2.07
Li 0.7253 0.6573 0.5778  4 O 1.91-2.06
Li 0.2248 0.8420 0.0773  4 O 1.90-2.05
Li 0.3510 0.0314 0.9241  4 O 1.90-2.06
Fe 0.5049 0.4992 0.7511  6 O 2.09-2.10
Fe 0.5042 0.4991 0.2512  6 O 2.09-2.11
Fe 0.0049 0.9992 0.7511  6 O 2.09-2.10
Fe 0.0042 0.9991 0.2512  6 O 2.09-2.11
Al 0.0054 0.3327 0.7514  6 O 1.98
Al 0.0043 0.6662 0.2514  6 O 1.97-1.98
Al 0.5054 0.8327 0.7514  6 O 1.98
Al 0.5043 0.1662 0.2514  6 O 1.97-1.98

Calculated values
energy of formation from the pure elements = -2.244 eV/atom
final energy = -5.600 eV/atom
magnetization = 0.00 μB per formula unit